Entry from the Materials Project: a relaxed Li2Cr3SnO8 crystal (PBE+U).

```
56
Lattice="8.492 0.000 0.000 0.000 8.503 0.000 0.000 0.000 8.504" Properties=species:S:1:pos:R:3 pbc="T T T"
Li 0.007 0.010 0.010
Li 2.100 2.104 2.101
Li 2.146 6.399 6.353
Li 4.239 8.493 4.262
Li 4.253 4.242 8.494
Li 6.346 2.147 6.403
Li 6.393 6.356 2.151
Li 8.485 4.261 4.242
Cr 0.991 1.151 5.324
Cr 1.068 3.263 7.352
Cr 1.148 5.326 0.990
Cr 3.098 3.177 5.242
Cr 3.178 5.240 3.100
Cr 3.255 7.352 1.072
Cr 5.237 3.101 3.180
Cr 5.314 0.989 1.152
Cr 5.395 7.428 7.514
Cr 7.344 1.075 3.262
Cr 7.424 7.514 5.404
Cr 7.502 5.402 7.432
Sn 1.056 7.452 3.197
Sn 3.190 1.051 7.449
Sn 5.303 5.302 5.307
Sn 7.436 3.201 1.055
O 0.869 1.047 3.320
O 0.933 7.633 5.297
O 0.943 5.197 7.560
O 1.041 3.322 0.867
O 1.087 1.259 7.319
O 1.140 3.114 5.393
O 1.184 5.344 2.992
O 1.256 7.321 1.090
O 2.990 1.182 5.342
O 3.062 3.159 7.244
O 3.106 5.389 1.141
O 3.159 7.244 3.067
O 3.205 5.181 5.119
O 3.303 3.306 3.308
O 3.314 0.870 1.045
O 3.378 7.456 7.572
O 5.115 3.205 5.184
O 5.179 5.121 3.207
O 5.190 7.558 0.944
O 5.287 0.929 7.637
O 5.334 2.992 1.185
O 5.386 1.138 3.111
O 5.430 7.411 5.512
O 5.502 5.433 7.414
O 7.236 3.070 3.162
O 7.308 1.092 1.260
O 7.353 7.365 7.363
O 7.405 5.511 5.437
O 7.451 7.574 3.385
O 7.549 0.945 5.196
O 7.560 3.382 7.459
O 7.624 5.298 0.932
```

Properties
Its theoretical density is 4.506 g cm⁻³. The value obtained for the energy above the most stable polymorph in this dataset is 25 kJ/mol of formula units. The value obtained for the total energy is -6.8839 eV per atom. The calculation puts the energy of formation at -2.25 eV per atom. Its total moment is 8.000 μB/f.u.